Entry 1:
Computed, not measured: a geometry-optimized DyTa5Ag2O15 structure at the PBE level of DFT.

a b c (Å): 12.5947 12.5947 3.9167
angles (deg): 90.00 90.00 90.00
Fractional coordinates of all 46 atoms:
1 O 0.5568 0.3699 0.0000
2 O 0.7244 0.7756 0.0000
3 O 0.4203 0.3108 0.5000
4 O 0.1590 0.4991 0.0000
5 O 0.9203 0.1892 0.5000
6 O 0.4432 0.6301 0.0000
7 O 0.5797 0.6892 0.5000
8 O 0.8410 0.5009 0.0000
9 O 0.8699 0.0568 0.0000
10 O 0.5000 0.0000 0.5000
11 O 0.1892 0.0797 0.5000
12 O 0.7756 0.2756 0.0000
13 O 0.3410 0.9991 0.0000
14 O 0.9991 0.6590 0.0000
15 O 0.3108 0.5797 0.5000
16 O 0.6301 0.5568 0.0000
17 O 0.6892 0.4203 0.5000
18 O 0.9432 0.8699 0.0000
19 O 0.0797 0.8108 0.5000
20 O 0.6590 0.0009 0.0000
21 O 0.2756 0.2244 0.0000
22 O 0.2244 0.7244 0.0000
23 O 0.0000 0.5000 0.5000
24 O 0.0568 0.1301 0.0000
25 O 0.0009 0.3410 0.0000
26 O 0.1301 0.9432 0.0000
27 O 0.4991 0.8410 0.0000
28 O 0.3699 0.4432 0.0000
29 O 0.8108 0.9203 0.5000
30 O 0.5009 0.1590 0.0000
31 Ta 0.7890 0.9214 0.0000
32 Ta 0.7110 0.4214 0.0000
33 Ta 0.5000 0.0000 0.0000
34 Ta 0.0786 0.7890 0.0000
35 Ta 0.0000 0.5000 0.0000
36 Ta 0.9214 0.2110 0.0000
37 Ta 0.5786 0.7110 0.0000
38 Ta 0.4214 0.2890 0.0000
39 Ta 0.2890 0.5786 0.0000
40 Ta 0.2110 0.0786 0.0000
41 Ag 0.8282 0.6718 0.5000
42 Ag 0.1718 0.3282 0.5000
43 Ag 0.3282 0.8282 0.5000
44 Ag 0.6718 0.1718 0.5000
45 Dy 0.5000 0.5000 0.5000
46 Dy 0.0000 0.0000 0.5000

Results
Space-group type   P4/mbm, No. 127

Entry 2:
Computed, not measured: a geometry-optimized PuRh2 structure at the PBE level of DFT.

a b c (Å): 5.2380 5.2380 5.2380
angles (deg): 60.00 60.00 60.00
Fractional coordinates of all 6 atoms:
1 Rh 0.8750 0.3750 0.8750
2 Rh 0.8750 0.8750 0.8750
3 Rh 0.8750 0.8750 0.3750
4 Rh 0.3750 0.8750 0.8750
5 Pu 0.2500 0.2500 0.2500
6 Pu 0.5000 0.5000 0.5000

Results
Space-group type   Fd-3m, No. 227

Entry 3:
Computed, not measured: a geometry-optimized Rb2U2O7 structure at the PBE level of DFT.

a b c (Å): 4.0569 7.0239 7.5097
angles (deg): 71.95 90.00 90.00
Fractional coordinates of all 11 atoms:
1 O 0.5000 0.5837 0.7445
2 O 0.0000 0.6129 0.0235
3 O 0.0000 0.0901 0.7405
4 O 0.5000 0.8480 0.9786
5 O 0.5000 0.1952 0.0218
6 O 0.5000 0.4215 0.2781
7 O 0.0000 0.8994 0.2623
8 U 0.0000 0.9810 0.0014
9 U 0.5000 0.5120 0.0110
10 Rb 0.0000 0.5008 0.5037
11 Rb 0.5000 0.0004 0.4995

Results
Energy above the most stable polymorph in this dataset   0.063 eV per atom
Space-group type   Pm, No. 6

| no. | DFT total energy (eV per cell) |
| --- | --- |
| 1 | -405.0 |
| 2 | -60.9 |
| 3 | -90.0 |